1.
# NdHoAl4

A relaxed structure of NdHoAl4 (GGA-PBE, Materials Project).

Cell and atoms, written as POSCAR:
```
NdHoAl4
1.0
0.000 3.973 3.973
3.973 0.000 3.973
3.973 3.973 0.000
Nd Ho Al
1 1 4
Cartesian
0.000 0.000 0.000
5.960 5.960 5.960
2.981 2.981 2.981
4.966 4.966 2.981
4.966 2.981 4.966
2.981 4.966 4.966
```

Summary:
As for the space-group type: F-43m, No. 216. The calculation puts the total energy at -4.554 eV/atom. The value obtained for the energy of formation is -2.99 eV/f.u. The calculated volume comes out at 125 Å³ per cell.

2.
# Ba3P2

A relaxed structure of Ba3P2 (GGA-PBE, Materials Project).

Cell and atoms, written as POSCAR:
```
Ba3P2
1.0
6.049 0.000 0.000
0.000 6.049 0.000
0.000 0.000 6.049
Ba P
3 2
Cartesian
0.000 0.000 3.025
0.000 3.025 0.000
3.025 0.000 0.000
0.000 0.000 0.000
3.025 3.025 3.025
```

Summary:
The value obtained for the relative energy among the computed polymorphs is 42.7 kJ/mol of atoms. As for the space-group type: Pm-3m, No. 221. The calculation puts the total energy at -3.857 eV/atom. The value obtained for the energy of formation is -2.70 eV/f.u. The calculated volume comes out at 221 Å³ per cell.

3.
# NdIO

A relaxed structure of NdIO (GGA-PBE, Materials Project).

Cell and atoms, written as POSCAR:
```
NdIO
1.0
4.085 0.000 0.000
0.000 4.085 0.000
0.000 0.000 9.630
Nd I O
2 2 2
Cartesian
1.021 1.021 1.167
3.064 3.064 8.462
1.021 1.021 6.521
3.064 3.064 3.109
1.021 3.064 0.000
3.064 1.021 0.000
```

Summary:
As for the space-group type: P4/nmm, No. 129. The calculation puts the total energy at -6.430 eV/atom. The value obtained for the energy of formation is -8.74 eV/f.u. The calculated volume comes out at 161 Å³ per cell.

4.
# NaZnGaS3O12

A relaxed structure of NaZnGaS3O12 (GGA-PBE, Materials Project).

Cell and atoms, written as POSCAR:
```
NaZnGaS3O12
1.0
8.562 0.000 0.000
-4.281 7.415 0.000
0.000 0.000 22.336
S O Na Zn Ga
18 72 6 6 6
Cartesian
1.769 2.443 1.877
1.232 2.190 16.767
-1.232 7.133 20.490
-1.232 2.190 5.599
6.793 2.443 13.044
3.049 4.661 13.044
-2.512 4.915 9.322
-1.769 7.386 5.599
2.512 4.915 20.490
1.232 7.133 9.322
-3.000 5.253 16.767
-1.281 2.781 20.490
5.561 0.310 1.877
1.769 7.386 16.767
3.000 5.253 5.599
1.281 2.781 9.322
3.000 0.310 13.044
5.513 4.661 1.877
3.276 3.863 14.243
-1.685 4.681 8.089
3.386 6.087 20.339
-2.684 7.303 20.339
2.684 7.303 9.171
5.176 1.144 16.616
4.859 6.012 1.992
-0.926 6.145 5.715
1.504 0.201 13.160
-3.212 6.087 15.534
2.684 2.360 16.616
-0.703 3.377 21.688
0.895 3.616 1.726
3.578 0.905 14.243
2.777 2.673 9.437
6.854 0.175 17.966
4.859 1.069 9.437
5.207 3.673 9.437
0.578 3.540 16.882
1.597 4.832 12.893
-1.708 5.118 10.521
-0.702 6.382 12.893
7.557 1.392 6.798
1.708 5.118 21.688
4.896 4.062 0.643
3.212 1.144 11.811
4.983 3.910 16.616
1.685 4.681 19.256
5.878 2.360 5.448
-1.504 5.144 16.882
-0.615 6.533 19.256
5.988 2.646 14.243
3.703 6.012 13.160
1.005 6.335 10.521
1.069 3.615 8.089
-3.386 6.087 9.171
-0.578 3.540 5.715
0.926 6.145 16.882
1.504 5.144 5.715
4.983 5.849 17.966
-1.597 4.832 1.726
-0.702 1.439 20.339
1.005 1.392 17.966
0.702 6.382 1.726
0.702 1.439 9.171
3.355 3.673 20.605
3.386 1.144 5.448
3.665 4.062 11.811
4.983 0.905 3.075
5.350 1.144 0.643
1.708 0.175 6.798
-1.005 6.335 21.688
-2.596 7.153 4.366
5.785 2.673 20.605
0.615 1.590 15.534
2.596 7.153 15.534
0.926 1.202 1.992
5.286 3.863 3.075
-1.069 3.615 19.256
3.578 5.849 6.798
0.703 3.377 10.521
5.966 2.210 11.811
-0.615 1.590 4.366
7.636 1.202 13.160
3.703 1.069 20.605
2.596 2.210 0.643
3.212 6.087 4.366
7.058 0.201 1.992
3.579 3.910 5.448
2.573 2.646 3.075
-0.895 3.616 12.893
0.615 6.533 8.089
0.000 4.943 14.854
0.000 0.000 11.131
4.281 2.472 18.577
0.000 0.000 22.299
0.000 4.943 3.686
4.281 2.472 7.409
0.000 0.000 19.001
4.281 2.472 4.110
0.000 4.943 0.388
4.281 2.472 15.278
0.000 4.943 11.556
0.000 0.000 7.833
0.000 0.000 3.351
0.000 4.943 7.074
0.000 0.000 14.519
4.281 2.472 21.964
0.000 4.943 18.242
4.281 2.472 10.797
```

Summary:
The calculation puts the total energy at -5.807 eV/atom. The value obtained for the energy of formation is -35.38 eV/f.u. The calculated volume comes out at 1418 Å³ per cell.

5.
# Dy3Ga4Cu2

A relaxed structure of Dy3Ga4Cu2 (GGA-PBE, Materials Project).

Cell and atoms, written as POSCAR:
```
Dy3Ga4Cu2
1.0
5.167 -2.216 0.000
5.167 2.216 0.000
-4.393 0.000 15.215
Dy Ga Cu
6 8 4
Cartesian
0.000 0.000 0.000
-1.497 0.000 13.043
0.521 0.000 10.146
3.422 0.000 7.914
5.435 0.000 5.083
8.310 0.000 2.933
-2.568 0.000 10.137
1.043 0.000 2.866
3.087 0.000 0.887
2.363 0.000 5.105
1.554 0.000 13.007
3.603 0.000 11.021
2.853 0.000 15.215
6.474 0.000 7.935
0.426 0.000 7.106
5.322 0.000 2.025
5.841 0.000 12.175
8.446 0.000 5.913
```

Summary:
As for the space-group type: Cm, No. 8. The calculation puts the total energy at -4.352 eV/atom. The value obtained for the energy of formation is -5.04 eV/f.u. The calculated volume comes out at 349 Å³ per cell.

6.
# TbAl3B4O12

A relaxed structure of TbAl3B4O12 (GGA-PBE, Materials Project).

Cell and atoms, written as POSCAR:
```
TbAl3B4O12
1.0
3.637 -4.695 0.000
3.637 4.695 0.000
-2.552 0.000 10.853
Tb Al B O
2 6 8 24
Cartesian
1.724 4.357 8.140
2.999 -4.357 2.713
2.032 2.353 5.120
3.967 2.353 0.306
2.999 0.831 2.713
1.724 -0.831 8.140
0.757 -2.353 10.547
2.691 -2.353 5.733
0.244 1.751 8.440
1.817 0.266 0.045
0.541 -0.266 5.472
1.520 -1.751 3.013
3.203 1.751 7.840
4.182 0.266 5.381
2.906 -0.266 10.808
4.479 -1.751 2.413
2.787 3.787 0.711
1.731 2.219 3.203
0.551 1.126 5.394
1.006 2.456 9.338
3.212 3.787 4.715
0.307 0.390 8.235
2.441 2.456 6.942
2.749 0.960 0.795
1.582 -0.390 2.808
-0.725 -1.126 10.821
4.268 2.219 2.224
3.250 0.960 4.631
1.473 -0.960 6.222
0.455 -2.219 8.629
5.448 1.126 0.032
3.141 0.390 8.045
1.974 -0.960 10.058
2.282 -2.456 3.911
4.416 -0.390 2.618
1.511 -3.787 6.138
3.717 -2.456 1.515
4.172 -1.126 5.458
2.992 -2.219 7.650
1.936 -3.787 10.142
```

Summary:
As for the space-group type: C2/c, No. 15. The calculation puts the total energy at -7.936 eV/atom. The value obtained for the energy of formation is -65.00 eV/f.u. The calculated volume comes out at 371 Å³ per cell.